# 1
A plane-wave DFT calculation with r²SCAN was carried out for YInNi after structural relaxation.

Lattice parameters (Å, degrees): 7.4441 7.4441 3.7572 90.00 90.00 120.00
Closest atoms and distances in Å follow each position.
Space group P-62m (No. 189)
Symmetry-distinct sites (fractional):
Y: 0.0000 0.5892 0.0000 (multiplicity 3)  5 Ni 2.93-3.06, 6 In 3.12-3.27
In: 0.0000 0.2541 0.5000 (multiplicity 3)  4 Ni 2.67-2.82
Ni: 0.0000 0.0000 0.0000 (multiplicity 1)  6 In 2.67
Ni: 0.3333 0.6667 0.5000 (multiplicity 2)  3 In 2.82, 6 Y 2.93

## Properties
calculated formation energy = -0.54 eV per atom
crystal system = hexagonal
spin magnetization = 0.0 μB per formula unit



# 2
A plane-wave DFT calculation with r²SCAN was carried out for YbInNi4 after structural relaxation.

Lattice parameters (Å, degrees): 6.9295 6.9295 6.9295 90.00 90.00 90.00
Closest atoms and distances in Å follow each position.
Space group F-43m (No. 216)
Symmetry-distinct sites (fractional):
Yb: 0.0000 0.0000 0.0000 (multiplicity 4)  12 Ni 2.87, 4 In 3.00
In: 0.2500 0.2500 0.2500 (multiplicity 4)  12 Ni 2.87, 4 Yb 3.00
Ni: 0.1240 0.1240 0.6240 (multiplicity 16)  6 Ni 2.43-2.47

## Properties
calculated formation energy = -0.41 eV per atom
crystal system = cubic
spin magnetization = 0.0 μB per formula unit



# 3
A plane-wave DFT calculation with r²SCAN was carried out for YbIn2Ni after structural relaxation.

Lattice parameters (Å, degrees): 4.2983 10.2235 7.2656 90.00 90.00 90.00
Closest atoms and distances in Å follow each position.
Space group Cmcm (No. 63)
Symmetry-distinct sites (fractional):
Yb: 0.0000 0.0684 0.2500 (multiplicity 4)  3 Ni 2.86-3.12, 4 In 3.15
In: 0.0000 0.3569 0.0490 (multiplicity 8)  3 Ni 2.64-2.69, 1 In 2.92
Ni: 0.0000 0.2110 0.7500 (multiplicity 4)  6 In 2.64-2.69, 1 Yb 2.86

## Properties
calculated formation energy = -0.51 eV per atom
crystal system = orthorhombic
spin magnetization = 0.0 μB per formula unit



# 4
A plane-wave DFT calculation with r²SCAN was carried out for InP3O9 after structural relaxation.

Lattice parameters (Å, degrees): 13.5809 19.6864 9.6837 90.00 127.08 90.00
Closest atoms and distances in Å follow each position.
Space group Cc (No. 9)
Symmetry-distinct sites (fractional):
In: 0.0000 0.0780 0.0000 (multiplicity 4)  6 O 2.10-2.15
In: 0.0173 0.2432 0.5343 (multiplicity 4)  6 O 2.12-2.13
In: 0.4978 0.0899 0.4990 (multiplicity 4)  6 O 2.11-2.14
P: 0.1451 0.0308 0.8297 (multiplicity 4)  4 O 1.48-1.59
P: 0.1520 0.3008 0.3505 (multiplicity 4)  4 O 1.48-1.59
P: 0.1563 0.3624 0.8466 (multiplicity 4)  4 O 1.48-1.58
P: 0.2356 0.4748 0.7228 (multiplicity 4)  4 O 1.48-1.59
P: 0.2477 0.1907 0.2440 (multiplicity 4)  4 O 1.48-1.60
P: 0.2742 0.1408 0.7929 (multiplicity 4)  4 O 1.48-1.59
P: 0.3527 0.0278 0.6654 (multiplicity 4)  4 O 1.48-1.59
P: 0.3622 0.3634 0.6821 (multiplicity 4)  4 O 1.48-1.59
P: 0.3629 0.3054 0.1921 (multiplicity 4)  4 O 1.48-1.59
O: 0.0388 0.0557 0.8221 (multiplicity 4)  1 P 1.48
O: 0.0503 0.3646 0.8537 (multiplicity 4)  1 P 1.48
O: 0.0534 0.2904 0.3715 (multiplicity 4)  1 P 1.48
O: 0.1147 0.0010 0.6672 (multiplicity 4)  1 P 1.49
O: 0.1327 0.3556 0.2312 (multiplicity 4)  1 P 1.48
O: 0.1402 0.4809 0.0802 (multiplicity 4)  1 P 1.48
O: 0.1515 0.3102 0.7319 (multiplicity 4)  1 P 1.49
O: 0.1573 0.1675 0.6357 (multiplicity 4)  1 P 1.48
O: 0.1654 0.1376 0.1190 (multiplicity 4)  1 P 1.48
O: 0.1706 0.2306 0.2909 (multiplicity 4)  2 P 1.58
O: 0.1740 0.4349 0.7950 (multiplicity 4)  2 P 1.58
O: 0.2209 0.0226 0.4823 (multiplicity 4)  2 P 1.58-1.59
O: 0.2461 0.0882 0.8905 (multiplicity 4)  2 P 1.59
O: 0.2600 0.4189 0.6284 (multiplicity 4)  2 P 1.59
O: 0.2702 0.2441 0.1412 (multiplicity 4)  2 P 1.59-1.60
O: 0.2816 0.3559 0.0355 (multiplicity 4)  2 P 1.58
O: 0.2827 0.3090 0.5334 (multiplicity 4)  2 P 1.58-1.59
O: 0.3406 0.0979 0.7328 (multiplicity 4)  2 P 1.58
O: 0.3530 0.4951 0.3713 (multiplicity 4)  1 P 1.48
O: 0.3661 0.1884 0.9282 (multiplicity 4)  1 P 1.48
O: 0.3676 0.1705 0.4088 (multiplicity 4)  1 P 1.49
O: 0.3686 0.0281 0.2795 (multiplicity 4)  1 P 1.48
O: 0.3907 0.3377 0.3511 (multiplicity 4)  1 P 1.49
O: 0.4044 0.3328 0.8494 (multiplicity 4)  1 P 1.48
O: 0.4493 0.0362 0.6396 (multiplicity 4)  1 P 1.48
O: 0.4586 0.3926 0.6719 (multiplicity 4)  1 P 1.49
O: 0.4709 0.2843 0.2001 (multiplicity 4)  1 P 1.48

## Properties
calculated formation energy = -2.30 eV per atom
crystal system = monoclinic
ΔE to the lowest computed polymorph = 0.000 eV/atom
spin magnetization = 0.0 μB per formula unit



# 5
A plane-wave DFT calculation with r²SCAN was carried out for InPO4 after structural relaxation.

Lattice parameters (Å, degrees): 5.3319 8.0310 6.8112 90.00 90.00 90.00
Closest atoms and distances in Å follow each position.
Space group Cmcm (No. 63)
Symmetry-distinct sites (fractional):
In: 0.0000 0.0000 0.0000 (multiplicity 4)  6 O 2.08-2.22
P: 0.0000 0.3529 0.2500 (multiplicity 4)  4 O 1.51-1.56
O: 0.0000 0.2540 0.0614 (multiplicity 8)  1 P 1.51
O: 0.2386 0.4663 0.2500 (multiplicity 8)  1 P 1.56

## Properties
calculated formation energy = -2.27 eV per atom
crystal system = orthorhombic
spin magnetization = 0.0 μB per formula unit



# 6
A plane-wave DFT calculation with r²SCAN was carried out for InP3O9 after structural relaxation.

Lattice parameters (Å, degrees): 13.5914 6.6096 9.6798 90.00 127.48 90.00
Closest atoms and distances in Å follow each position.
Space group Cc (No. 9)
Symmetry-distinct sites (fractional):
In: 0.0000 0.2358 0.0000 (multiplicity 4)  6 O 2.12-2.15
P: 0.1448 0.1040 0.8284 (multiplicity 4)  4 O 1.48-1.58
P: 0.2441 0.4292 0.7295 (multiplicity 4)  4 O 1.48-1.59
P: 0.3550 0.0833 0.6712 (multiplicity 4)  4 O 1.48-1.59
O: 0.0369 0.1202 0.8304 (multiplicity 4)  1 P 1.48
O: 0.1357 0.0474 0.2078 (multiplicity 4)  1 P 1.48
O: 0.1602 0.4184 0.0969 (multiplicity 4)  1 P 1.48
O: 0.1700 0.3194 0.7858 (multiplicity 4)  2 P 1.58
O: 0.2615 0.2610 0.6282 (multiplicity 4)  2 P 1.59
O: 0.2692 0.0702 0.0180 (multiplicity 4)  2 P 1.58
O: 0.3655 0.4960 0.8902 (multiplicity 4)  1 P 1.49
O: 0.3958 0.0149 0.3364 (multiplicity 4)  1 P 1.49
O: 0.4530 0.1600 0.6609 (multiplicity 4)  1 P 1.48

## Properties
calculated formation energy = -2.29 eV per atom
crystal system = monoclinic
ΔE to the lowest computed polymorph = 0.004 eV/atom
spin magnetization = 0.0 μB per formula unit



# 7
A plane-wave DFT calculation with r²SCAN was carried out for InPO4 after structural relaxation.

Lattice parameters (Å, degrees): 8.9212 6.9252 4.8250 90.00 90.00 90.00
Closest atoms and distances in Å follow each position.
Space group Pnma (No. 62)
Symmetry-distinct sites (fractional):
In: 0.0000 0.0000 0.0000 (multiplicity 4)  6 O 2.06-2.29
P: 0.1774 0.2500 0.4826 (multiplicity 4)  4 O 1.52-1.56
O: 0.1222 0.2500 0.7878 (multiplicity 4)  1 P 1.55
O: 0.1256 0.0645 0.3464 (multiplicity 8)  1 P 1.52
O: 0.1477 0.7500 0.9614 (multiplicity 4)  1 P 1.56

## Properties
calculated formation energy = -2.27 eV per atom
crystal system = orthorhombic
spin magnetization = 0.0 μB per formula unit



# 8
A plane-wave DFT calculation with r²SCAN was carried out for In3P2O8 after structural relaxation.

Lattice parameters (Å, degrees): 11.1606 11.1606 11.1606 90.00 90.00 90.00
Closest atoms and distances in Å follow each position.
Space group I-43d (No. 220)
Symmetry-distinct sites (fractional):
In: 0.0000 0.2500 0.7558 (multiplicity 24)  2 O 2.10
P: 0.0450 0.4550 0.5450 (multiplicity 16)  4 O 1.53-1.57
O: 0.0361 0.0361 0.0361 (multiplicity 16)  1 P 1.57
O: 0.0377 0.1190 0.6256 (multiplicity 48)  1 P 1.53

## Properties
calculated formation energy = -2.11 eV per atom
crystal system = cubic
spin magnetization = 0.0 μB per formula unit



# 9
A plane-wave DFT calculation with r²SCAN was carried out for In2Pt2O7 after structural relaxation.

Lattice parameters (Å, degrees): 10.0111 10.0111 10.0111 90.00 90.00 90.00
Closest atoms and distances in Å follow each position.
Space group Fd-3m (No. 227, origin choice 2)
Symmetry-distinct sites (fractional):
In: 0.0000 0.0000 0.0000 (multiplicity 16)  8 O 2.17-2.37
Pt: 0.0000 0.0000 0.5000 (multiplicity 16)  6 O 2.00
O: 0.0929 0.3750 0.8750 (multiplicity 48)  2 Pt 2.00
O: 0.1250 0.1250 0.1250 (multiplicity 8)  4 In 2.17

## Properties
calculated formation energy = -1.30 eV per atom
crystal system = cubic
spin magnetization = 0.0 μB per formula unit



# 10
A plane-wave DFT calculation with r²SCAN was carried out for Rb2In4O7 after structural relaxation.

Lattice parameters (Å, degrees): 5.6563 5.6563 7.3759 90.00 90.00 120.00
Closest atoms and distances in Å follow each position.
Space group P-31m (No. 162)
Symmetry-distinct sites (fractional):
Rb: 0.3333 0.6667 0.0000 (multiplicity 2)  9 O 3.06-3.27, 3 Rb 3.27
In: 0.0000 0.0000 0.2755 (multiplicity 2)  4 O 2.03-2.07
In: 0.3333 0.6667 0.5000 (multiplicity 2)  6 O 2.19
O: 0.0000 0.0000 0.0000 (multiplicity 1)  2 In 2.03
O: 0.0000 0.3582 0.6656 (multiplicity 6)  3 In 2.07-2.19

## Properties
calculated formation energy = -1.78 eV per atom
crystal system = trigonal
spin magnetization = 0.0 μB per formula unit



# 11
A plane-wave DFT calculation with r²SCAN was carried out for RbIn3O5 after structural relaxation.

Lattice parameters (Å, degrees): 9.8581 3.3200 16.7510 90.00 90.00 90.00
Closest atoms and distances in Å follow each position.
Space group Pnma (No. 62)
Symmetry-distinct sites (fractional):
Rb: 0.0302 0.2500 0.1281 (multiplicity 4)  7 O 2.94-3.14
In: 0.1135 0.2500 0.6583 (multiplicity 4)  4 O 2.08-2.14
In: 0.1519 0.7500 0.4860 (multiplicity 4)  6 O 2.12-2.35
In: 0.1822 0.2500 0.3160 (multiplicity 4)  5 O 2.10-2.21
O: 0.0207 0.2500 0.4242 (multiplicity 4)  6 In 2.27-2.53
O: 0.0612 0.7500 0.2720 (multiplicity 4)  3 In 2.08-2.17
O: 0.2056 0.7500 0.7097 (multiplicity 4)  3 In 2.08-2.10
O: 0.2237 0.2500 0.8832 (multiplicity 4)  3 In 2.12-2.21
O: 0.2327 0.2500 0.5516 (multiplicity 4)  3 In 2.14

## Properties
calculated formation energy = -1.81 eV per atom
crystal system = orthorhombic
spin magnetization = 0.0 μB per formula unit



# 12
A plane-wave DFT calculation with r²SCAN was carried out for InSbO4 after structural relaxation.

Lattice parameters (Å, degrees): 7.5220 5.2446 7.4333 90.00 100.84 90.00
Closest atoms and distances in Å follow each position.
Space group P2_1/c (No. 14)
Symmetry-distinct sites (fractional):
In: 0.1583 0.2418 0.3587 (multiplicity 4)  5 O 2.09-2.21
Sb: 0.3314 0.7473 0.1859 (multiplicity 4)  6 O 1.95-2.03
O: 0.1005 0.5686 0.1858 (multiplicity 4)  1 Sb 1.97, 2 In 2.12-2.14
O: 0.1928 0.0540 0.1038 (multiplicity 4)  1 Sb 1.95, 1 In 2.09
O: 0.3225 0.6046 0.9365 (multiplicity 4)  2 Sb 1.99-2.03, 1 In 2.21
O: 0.4334 0.0783 0.8062 (multiplicity 4)  2 Sb 1.98-2.01

## Properties
calculated formation energy = -1.74 eV per atom
crystal system = monoclinic
spin magnetization = 0.0 μB per formula unit